# 1
VASP calculation (PBE-GGA) on LiSbP4O12 after structural relaxation.

- total magnetization (μB/f.u.) = 0.00
- offset from the most stable computed form (eV per atom) = 0.0618
- calculated formation energy (eV per formula unit) = -44.2
- SG = C2/c

```
LiSbP4O12
1.0
-7.3644 4.7092 2.2378
-5.2152 -0.3111 7.3569
0.4565 7.0541 6.7264
O Sb P Li
24 2 8 2
Direct
0.4280 0.4367 0.7086
0.3580 0.1665 0.8323
0.0085 0.8230 0.4279
0.4530 0.2141 0.0917
0.6420 0.8335 0.1677
0.1665 0.3580 0.3323
0.2503 0.9957 0.7833
0.2141 0.4530 0.5917
0.7859 0.5470 0.4083
0.1972 0.5918 0.0377
0.8028 0.4082 0.9623
0.5633 0.5720 0.7914
0.9915 0.1770 0.5721
0.0043 0.7497 0.7167
0.4082 0.8028 0.4623
0.8230 0.0085 0.9279
0.5720 0.5633 0.2914
0.4367 0.4280 0.2086
0.8335 0.6420 0.6677
0.1770 0.9915 0.0721
0.7497 0.0043 0.2167
0.5918 0.1972 0.5377
0.9957 0.2503 0.2833
0.5470 0.7859 0.9083
0.2758 0.7242 0.7500
0.7242 0.2758 0.2500
0.6848 0.5918 0.8392
0.9868 0.3183 0.4024
0.4082 0.3152 0.6608
0.5918 0.6848 0.3392
0.6817 0.0132 0.0976
0.0132 0.6817 0.5976
0.3183 0.9868 0.9024
0.3152 0.4082 0.1608
0.0000 0.0000 0.0000
0.0000 0.0000 0.5000
```

---

# 2
VASP calculation (PBE-GGA) on Li3Sb2P3O12 after structural relaxation.

- total magnetization (μB/f.u.) = 0.00
- offset from the most stable computed form (eV per atom) = 0.0252
- calculated formation energy (eV per formula unit) = -48.8
- SG = P2/c

```
Li3Sb2P3O12
1.0
9.3798 0.0000 0.0000
0.0000 8.4953 0.0000
0.0000 2.0599 12.6703
O Li P Sb
48 12 12 8
Direct
0.0565 0.0718 0.8289
0.3958 0.2601 0.5073
0.0930 0.7656 0.5060
0.9070 0.7656 0.0060
0.1301 0.4972 0.4432
0.8699 0.4972 0.9432
0.2387 0.6304 0.6846
0.2387 0.3696 0.8154
0.0565 0.9282 0.6711
0.7613 0.6304 0.1846
0.3902 0.9919 0.0820
0.6357 0.2867 0.8107
0.6042 0.7399 0.4927
0.5694 0.5683 0.3308
0.6620 0.3226 0.5658
0.8329 0.1659 0.9356
0.3380 0.6774 0.4342
0.5694 0.4317 0.1692
0.1671 0.8341 0.0644
0.3643 0.7133 0.1893
0.3902 0.0081 0.4180
0.8766 0.7691 0.8163
0.7613 0.3696 0.3154
0.6098 0.0081 0.9180
0.2433 0.1314 0.6810
0.3958 0.7399 0.9927
0.3643 0.2867 0.3107
0.0930 0.2344 0.9940
0.1234 0.7691 0.3163
0.8766 0.2309 0.6837
0.6042 0.2601 0.0073
0.6098 0.9919 0.5820
0.8329 0.8341 0.5644
0.1234 0.2309 0.1837
0.7567 0.8686 0.3190
0.3380 0.3226 0.0658
0.9435 0.0718 0.3289
0.4306 0.4317 0.6692
0.2433 0.8686 0.8190
0.7567 0.1314 0.1810
0.6357 0.7133 0.6893
0.9435 0.9282 0.1711
0.9070 0.2344 0.4940
0.4306 0.5683 0.8308
0.1671 0.1659 0.4356
0.6620 0.6774 0.9342
0.8699 0.5028 0.5568
0.1301 0.5028 0.0568
0.5000 0.5000 0.5000
0.5000 0.5000 0.0000
0.1834 0.2946 0.5546
0.1174 0.0000 0.2500
0.8166 0.7054 0.4454
0.8826 0.0000 0.7500
0.3885 0.5000 0.2500
0.1834 0.7054 0.9454
0.6115 0.5000 0.7500
0.0000 0.0000 0.5000
0.0000 0.0000 0.0000
0.8166 0.2946 0.0546
0.1700 0.6744 0.4224
0.6701 0.5000 0.2500
0.3333 0.8226 0.0867
0.6667 0.8226 0.5867
0.3333 0.1774 0.4133
0.8300 0.6744 0.9224
0.8300 0.3256 0.5776
0.1700 0.3256 0.0776
0.8395 0.0000 0.2500
0.3299 0.5000 0.7500
0.1605 0.0000 0.7500
0.6667 0.1774 0.9133
0.9897 0.3118 0.3439
0.0103 0.3118 0.8439
0.9897 0.6882 0.1561
0.0103 0.6882 0.6561
0.4967 0.8162 0.3480
0.5033 0.8162 0.8480
0.4967 0.1838 0.1520
0.5033 0.1838 0.6520
```

---

# 3
VASP calculation (PBE-GGA) on LiSbP4O12 after structural relaxation.

- total magnetization (μB/f.u.) = 0.00
- offset from the most stable computed form (eV per atom) = 0.0252
- calculated formation energy (eV per formula unit) = -44.9
- SG = C2/c

```
LiSbP4O12
1.0
-6.4386 3.1464 2.6597
-4.6503 -5.3373 2.8839
-0.8696 0.1015 10.7756
P O Li Sb
8 24 2 2
Direct
0.6941 0.6806 0.8107
0.3059 0.3194 0.1893
0.2745 0.7457 0.5219
0.7255 0.2543 0.4781
0.6806 0.6941 0.3107
0.7457 0.2745 0.0219
0.2543 0.7255 0.9781
0.3194 0.3059 0.6893
0.3517 0.2083 0.8326
0.7745 0.4984 0.9321
0.2083 0.3517 0.3326
0.7917 0.6483 0.6674
0.4984 0.7745 0.4321
0.1374 0.2818 0.6787
0.1960 0.7141 0.4258
0.8326 0.0987 0.4100
0.6845 0.4654 0.3545
0.3155 0.5346 0.6455
0.2818 0.1374 0.1787
0.4654 0.6845 0.8545
0.7141 0.1960 0.9258
0.6483 0.7917 0.1674
0.2255 0.5016 0.0679
0.2859 0.8040 0.0742
0.0987 0.8326 0.9100
0.9013 0.1674 0.0900
0.1674 0.9013 0.5900
0.8040 0.2859 0.5742
0.5016 0.2255 0.5679
0.5346 0.3155 0.1455
0.8626 0.7182 0.3213
0.7182 0.8626 0.8213
0.9947 0.0053 0.2500
0.0053 0.9947 0.7500
0.5000 0.0000 0.0000
0.0000 0.5000 0.5000
```

---

- calculated formation energy of number 2 (Li3Sb2P3O12)?
  -48.8 eV per formula unit